Here is an optimized crystal structure of CoRe3H15N5O15 from the Materials Project. Energies are from PBE+U.

**Calculated formation energy**: -0.752 eV/atom
**Mass density**: 3.24 g/cm³

Cell and atoms, written as CIF:
```
data_CoRe3H15N5O15
_cell_length_a 8.132
_cell_length_b 13.349
_cell_length_c 19.525
_cell_angle_alpha 90.00
_cell_angle_beta 114.10
_cell_angle_gamma 90.00
_space_group_name_H-M_alt 'P 1 21/c 1'
_space_group_IT_number 14
loop_
_space_group_symop_operation_xyz
'x,y,z'
'-x,-y,-z'
'-x,y+1/2,-z+1/2'
'x,-y+1/2,z+1/2'
loop_
_atom_site_label
_atom_site_type_symbol
_atom_site_fract_x
_atom_site_fract_y
_atom_site_fract_z
Co1 Co 0.011 0.250 0.140
Re1 Re 0.289 0.632 0.166
Re2 Re 0.307 0.161 0.437
Re3 Re 0.497 0.529 0.619
H1 H 0.001 0.131 0.237
H2 H 0.024 0.130 0.542
H3 H 0.059 0.571 0.903
H4 H 0.063 0.065 0.179
H5 H 0.068 0.098 0.073
H6 H 0.073 0.199 0.026
H7 H 0.125 0.651 0.485
H8 H 0.192 0.646 0.972
H9 H 0.215 0.137 0.245
H10 H 0.258 0.638 0.384
H11 H 0.278 0.198 0.614
H12 H 0.282 0.748 0.852
H13 H 0.310 0.164 0.702
H14 H 0.323 0.737 0.442
H15 H 0.344 0.218 0.184
N1 N 0.004 0.165 0.054
N2 N 0.063 0.637 0.932
N3 N 0.081 0.132 0.207
N4 N 0.243 0.714 0.388
N5 N 0.265 0.220 0.663
O1 O 0.012 0.177 0.709
O2 O 0.025 0.564 0.609
O3 O 0.193 0.728 0.100
O4 O 0.206 0.639 0.236
O5 O 0.220 0.184 0.505
O6 O 0.227 0.045 0.393
O7 O 0.229 0.517 0.119
O8 O 0.234 0.245 0.870
O9 O 0.289 0.000 0.879
O10 O 0.311 0.599 0.802
O11 O 0.371 0.601 0.540
O12 O 0.381 0.084 0.114
O13 O 0.456 0.662 0.019
O14 O 0.474 0.144 0.293
O15 O 0.481 0.092 0.799
```

Here is an optimized crystal structure of Co2H31S2N9O11 from the Materials Project. Energies are from PBE+U.

**Calculated formation energy**: -0.829 eV/atom
**Mass density**: 1.75 g/cm³

Cell and atoms, written as CIF:
```
data_Co2H31S2N9O11
_cell_length_a 7.055
_cell_length_b 8.825
_cell_length_c 9.248
_cell_angle_alpha 68.20
_cell_angle_beta 67.61
_cell_angle_gamma 73.66
_space_group_name_H-M_alt 'P 1'
_space_group_IT_number 1
loop_
_space_group_symop_operation_xyz
'x,y,z'
loop_
_atom_site_label
_atom_site_type_symbol
_atom_site_fract_x
_atom_site_fract_y
_atom_site_fract_z
Co1 Co 0.000 0.000 0.000
Co2 Co 0.076 0.237 0.658
H1 H 0.010 0.253 0.055
H2 H 0.037 0.795 0.850
H3 H 0.040 0.455 0.804
H4 H 0.089 0.974 0.572
H5 H 0.097 0.849 0.267
H6 H 0.124 0.694 0.010
H7 H 0.229 0.005 0.150
H8 H 0.239 0.100 0.412
H9 H 0.268 0.812 0.842
H10 H 0.309 0.409 0.374
H11 H 0.311 0.827 0.108
H12 H 0.328 0.975 0.565
H13 H 0.354 0.057 0.794
H14 H 0.372 0.437 0.519
H15 H 0.408 0.482 0.746
H16 H 0.468 0.263 0.468
H17 H 0.503 0.641 0.623
H18 H 0.574 0.602 0.031
H19 H 0.630 0.986 0.173
H20 H 0.667 0.761 0.906
H21 H 0.712 0.187 0.886
H22 H 0.725 0.812 0.124
H23 H 0.760 0.418 0.539
H24 H 0.763 0.260 0.070
H25 H 0.780 0.837 0.274
H26 H 0.801 0.452 0.814
H27 H 0.806 0.032 0.805
H28 H 0.845 0.243 0.488
H29 H 0.854 0.139 0.224
H30 H 0.954 0.561 0.644
H31 H 0.982 0.398 0.382
S1 S 0.332 0.368 0.079
S2 S 0.745 0.884 0.572
N1 N 0.118 0.804 0.918
N2 N 0.178 0.907 0.148
N3 N 0.197 0.049 0.537
N4 N 0.338 0.352 0.485
N5 N 0.758 0.895 0.161
N6 N 0.846 0.112 0.841
N7 N 0.892 0.338 0.498
N8 N 0.894 0.183 0.098
N9 N 0.952 0.453 0.739
O1 O 0.202 0.475 0.187
O2 O 0.217 0.123 0.825
O3 O 0.244 0.403 0.945
O4 O 0.341 0.189 0.176
O5 O 0.484 0.532 0.629
O6 O 0.533 0.837 0.649
O7 O 0.549 0.409 0.007
O8 O 0.593 0.712 0.024
O9 O 0.733 0.061 0.469
O10 O 0.830 0.860 0.707
O11 O 0.883 0.775 0.469
```

Here is an optimized crystal structure of CoH4SN2O4 from the Materials Project. Energies are from PBE+U.

**Calculated formation energy**: -0.981 eV/atom
**Mass density**: 2.73 g/cm³

Cell and atoms, written as CIF:
```
data_CoH4SN2O4
_cell_length_a 6.570
_cell_length_b 7.714
_cell_length_c 8.969
_cell_angle_alpha 90.00
_cell_angle_beta 90.00
_cell_angle_gamma 90.00
_space_group_name_H-M_alt 'P c c n'
_space_group_IT_number 56
loop_
_space_group_symop_operation_xyz
'x,y,z'
'-x,-y,-z'
'-x+1/2,-y+1/2,z'
'x+1/2,y+1/2,-z'
'x+1/2,-y,-z+1/2'
'-x+1/2,y,z+1/2'
'-x,y+1/2,-z+1/2'
'x,-y+1/2,z+1/2'
loop_
_atom_site_label
_atom_site_type_symbol
_atom_site_fract_x
_atom_site_fract_y
_atom_site_fract_z
Co1 Co 0.000 0.000 0.000
H1 H 0.127 0.126 0.498
H2 H 0.197 0.119 0.674
S1 S 0.250 0.750 0.242
N1 N 0.244 0.155 0.569
O1 O 0.069 0.708 0.648
O2 O 0.203 0.596 0.336
```

Here is an optimized crystal structure of Na5CoHO4 from the Materials Project. Energies are from PBE+U.

**Calculated formation energy**: -1.492 eV/atom
**Mass density**: 2.63 g/cm³

Cell and atoms, written as CIF:
```
data_Na5CoHO4
_cell_length_a 9.940
_cell_length_b 10.112
_cell_length_c 11.992
_cell_angle_alpha 90.00
_cell_angle_beta 90.00
_cell_angle_gamma 90.00
_space_group_name_H-M_alt 'P n m a'
_space_group_IT_number 62
loop_
_space_group_symop_operation_xyz
'x,y,z'
'-x,-y,-z'
'-x+1/2,-y,z+1/2'
'x+1/2,y,-z+1/2'
'x+1/2,-y+1/2,-z+1/2'
'-x+1/2,y+1/2,z+1/2'
'-x,y+1/2,-z'
'x,-y+1/2,z'
loop_
_atom_site_label
_atom_site_type_symbol
_atom_site_fract_x
_atom_site_fract_y
_atom_site_fract_z
Na1 Na 0.019 0.090 0.210
Na2 Na 0.073 0.067 0.586
Na3 Na 0.081 0.750 0.554
Na4 Na 0.117 0.250 0.016
Na5 Na 0.131 0.567 0.010
Na6 Na 0.218 0.580 0.322
Co1 Co 0.013 0.250 0.789
Co2 Co 0.209 0.250 0.381
H1 H 0.227 0.625 0.690
O1 O 0.059 0.750 0.351
O2 O 0.060 0.099 0.875
O3 O 0.096 0.099 0.393
O4 O 0.108 0.750 0.881
O5 O 0.247 0.080 0.122
```

Here is an optimized crystal structure of Na2CoH8S2O12 from the Materials Project. Energies are from PBE+U.

**Calculated formation energy**: -1.659 eV/atom
**Mass density**: 2.38 g/cm³

Cell and atoms, written as CIF:
```
data_Na2CoH8S2O12
_cell_length_a 5.580
_cell_length_b 8.367
_cell_length_c 11.184
_cell_angle_alpha 90.00
_cell_angle_beta 99.75
_cell_angle_gamma 90.00
_space_group_name_H-M_alt 'P 1 21/c 1'
_space_group_IT_number 14
loop_
_space_group_symop_operation_xyz
'x,y,z'
'-x,-y,-z'
'-x,y+1/2,-z+1/2'
'x,-y+1/2,z+1/2'
loop_
_atom_site_label
_atom_site_type_symbol
_atom_site_fract_x
_atom_site_fract_y
_atom_site_fract_z
Na1 Na 0.121 0.071 0.361
Co1 Co 0.000 0.000 0.000
H1 H 0.231 0.635 0.346
H2 H 0.236 0.055 0.819
H3 H 0.242 0.726 0.014
H4 H 0.328 0.698 0.640
S1 S 0.374 0.214 0.636
O1 O 0.131 0.536 0.338
O2 O 0.180 0.716 0.579
O3 O 0.213 0.086 0.577
O4 O 0.313 0.128 0.077
O5 O 0.357 0.224 0.769
O6 O 0.365 0.678 0.873
```